# 1
Rb2PbO3 | r2SCAN | relaxed

abc: 6.071 10.927 7.382
angles: 90.00 90.00 90.00
Space group Pnma (No. 62)
Symmetry-distinct sites (fractional):
Rb1 0.232 0.087 0.107
Pb1 0.236 0.750 0.156
O1 0.005 0.120 0.729
O2 0.162 0.750 0.887

Output
M_tot in μB/f.u.: 0.00
ΔH_f (0 K) in meV/atom: -1356
V in Å³ per cell: 489.8

***

# 2
Sm2GeRh3 | r2SCAN | relaxed

abc: 5.6281 5.6281 11.8973
angles: 90.00 90.00 120.00
Space group R-3m (No. 166, hexagonal axes)
Symmetry-distinct sites (fractional):
Sm1 0.0000 0.0000 0.1288
Ge1 0.0000 0.0000 0.5000
Rh1 0.0000 0.5000 0.0000

Output
M_tot in μB/f.u.: 0.00
ΔH_f (0 K) in meV/atom: -904
V in Å³ per cell: 326.4

***

# 3
LiMgAg2 | r2SCAN | relaxed

abc: 6.448 6.448 6.448
angles: 90.00 90.00 90.00
Space group Fm-3m (No. 225)
Symmetry-distinct sites (fractional):
Li1 0.000 0.000 0.000
Mg1 0.000 0.000 0.500
Ag1 0.250 0.250 0.250

Output
M_tot in μB/f.u.: 0.00
ΔH_f (0 K) in meV/atom: -194
V in Å³ per cell: 268.1

***

# 4
Na2CO3 | r2SCAN | relaxed

abc: 5.2106 5.2106 6.0727
angles: 90.00 90.00 120.00
Space group P6_3/mmc (No. 194)
Symmetry-distinct sites (fractional):
Na1 0.0000 0.0000 0.0000
Na2 0.3333 0.6667 0.2500
C1 0.3333 0.6667 0.7500
O1 0.1904 0.3807 0.7500

Output
M_tot in μB/f.u.: 0.00
ΔH_f (0 K) in meV/atom: -1849
V in Å³ per cell: 142.8